DFT (PBE-GGA) results for crystalline Na2MgGeP2SO12 at its relaxed geometry.

a = 8.679 Å, b = 8.668 Å, c = 21.763 Å
α = 90.88°, β = 90.00°, γ = 120.04°
Atoms (fractional coordinates):
O 0.996 0.803 0.805
O 0.183 0.147 0.088
O 0.526 0.665 0.579
O 0.672 0.150 0.744
O 0.325 0.864 0.979
O 0.195 0.009 0.306
O 0.517 0.372 0.420
O 0.659 0.530 0.646
O 0.806 0.998 0.412
O 0.851 0.039 0.087
O 0.478 0.150 0.244
O 0.813 0.009 0.806
O 0.780 0.952 0.690
O 0.450 0.158 0.526
O 0.859 0.332 0.246
O 0.139 0.665 0.079
O 0.293 0.485 0.756
O 0.811 0.817 0.911
O 0.525 0.151 0.923
O 0.298 0.814 0.255
O 0.160 0.199 0.696
O 0.678 0.539 0.245
O 0.184 0.706 0.753
O 0.855 0.372 0.920
O 0.205 0.197 0.813
O 0.862 0.342 0.640
O 0.188 0.039 0.587
O 0.706 0.533 0.529
O 0.147 0.675 0.473
O 0.345 0.872 0.578
O 0.959 0.818 0.090
O 0.173 0.952 0.190
O 0.827 0.533 0.029
O 0.140 0.470 0.971
O 0.192 0.485 0.256
O 0.527 0.872 0.078
O 0.663 0.136 0.138
O 0.522 0.706 0.253
O 0.473 0.136 0.638
O 0.339 0.484 0.077
O 0.708 0.158 0.026
O 0.330 0.470 0.471
O 0.012 0.206 0.911
O 0.538 0.864 0.479
O 0.516 0.814 0.755
O 0.839 0.286 0.523
O 0.473 0.332 0.746
O 0.116 0.491 0.859
O 0.783 0.824 0.192
O 0.039 0.199 0.196
O 0.446 0.286 0.023
O 0.861 0.539 0.745
O 0.859 0.818 0.590
O 0.042 0.824 0.692
O 0.192 0.998 0.912
O 0.964 0.147 0.588
O 0.493 0.866 0.362
O 0.528 0.675 0.973
O 0.506 0.619 0.856
O 0.480 0.342 0.140
O 0.807 0.803 0.305
O 0.113 0.619 0.356
O 0.006 0.817 0.411
O 0.849 0.480 0.421
O 0.144 0.484 0.577
O 0.872 0.530 0.146
O 0.631 0.480 0.921
O 0.375 0.491 0.359
O 0.194 0.206 0.411
O 0.373 0.866 0.862
O 0.626 0.151 0.423
O 0.992 0.197 0.313
P 0.283 0.295 0.754
P 0.703 0.996 0.752
P 0.037 0.662 0.418
P 0.013 0.295 0.254
P 0.346 0.962 0.921
P 0.959 0.329 0.585
P 0.293 0.996 0.252
P 0.626 0.662 0.918
P 0.370 0.329 0.085
P 0.616 0.962 0.421
P 0.679 0.629 0.588
P 0.949 0.629 0.088
S 0.018 0.719 0.750
S 0.352 0.385 0.417
S 0.367 0.052 0.583
S 0.034 0.385 0.917
S 0.685 0.052 0.083
S 0.700 0.719 0.250
Na 0.311 0.971 0.077
Na 0.645 0.637 0.744
Na 0.338 0.641 0.163
Na 0.978 0.304 0.411
Na 0.970 0.974 0.997
Na 0.992 0.637 0.244
Na 0.659 0.971 0.577
Na 0.004 0.974 0.497
Na 0.636 0.307 0.330
Na 0.326 0.304 0.911
Na 0.671 0.307 0.830
Na 0.303 0.641 0.663
Ge 0.659 0.340 0.982
Ge 0.348 0.674 0.815
Ge 0.681 0.340 0.482
Ge 0.993 0.007 0.649
Ge 0.014 0.007 0.149
Ge 0.326 0.674 0.315
Mg 0.332 0.664 0.021
Mg 0.332 0.664 0.521
Mg 0.666 0.331 0.688
Mg 0.999 0.997 0.355
Mg 0.665 0.331 0.188
Mg 0.998 0.997 0.855

## Properties
Calculated total energy ... -6.38 eV/atom


DFT (PBE-GGA) results for crystalline La3B6Ru8 at its relaxed geometry.

a = 10.091 Å, b = 9.241 Å, c = 5.660 Å
α = 81.42°, β = 64.90°, γ = 33.68°
Atoms (fractional coordinates):
La 0.000 0.000 0.000
La 0.182 0.182 0.818
La 0.818 0.818 0.182
B 0.165 0.493 0.507
B 0.331 0.669 0.331
B 0.493 0.165 0.835
B 0.507 0.835 0.165
B 0.669 0.331 0.669
B 0.835 0.507 0.493
Ru 0.086 0.086 0.414
Ru 0.250 0.250 0.250
Ru 0.413 0.413 0.587
Ru 0.414 0.414 0.086
Ru 0.586 0.586 0.914
Ru 0.587 0.587 0.413
Ru 0.750 0.750 0.750
Ru 0.914 0.914 0.586

## Properties
Space group ... Fmmm
Calculated total energy ... -8.04 eV/atom


DFT (PBE-GGA) results for crystalline HoTlRh2 at its relaxed geometry.

a = 6.691 Å, b = 6.691 Å, c = 6.691 Å
α = 90.00°, β = 90.00°, γ = 90.00°
Atoms (fractional coordinates):
Ho 0.000 0.000 0.000
Ho 0.000 0.500 0.500
Ho 0.500 0.000 0.500
Ho 0.500 0.500 0.000
Tl 0.000 0.000 0.500
Tl 0.000 0.500 0.000
Tl 0.500 0.000 0.000
Tl 0.500 0.500 0.500
Rh 0.250 0.250 0.250
Rh 0.250 0.250 0.750
Rh 0.250 0.750 0.250
Rh 0.250 0.750 0.750
Rh 0.750 0.250 0.250
Rh 0.750 0.250 0.750
Rh 0.750 0.750 0.250
Rh 0.750 0.750 0.750

## Properties
Space group ... Fm-3m
Calculated total energy ... -5.98 eV/atom


DFT (PBE-GGA) results for crystalline LiZnSb4O8 at its relaxed geometry.

a = 3.442 Å, b = 7.868 Å, c = 9.904 Å
α = 108.19°, β = 96.27°, γ = 97.13°
Atoms (fractional coordinates):
Li 0.000 0.000 0.000
Zn 0.436 0.785 0.081
Sb 0.021 0.516 0.786
Sb 0.023 0.858 0.356
Sb 0.600 0.839 0.663
Sb 0.634 0.393 0.106
O 0.039 0.743 0.542
O 0.086 0.246 0.009
O 0.187 0.784 0.888
O 0.401 0.677 0.248
O 0.539 0.579 0.674
O 0.582 0.981 0.474
O 0.635 0.532 0.966
O 0.980 0.934 0.174

## Properties
Distance to the lowest polymorph of the same formula ... 59.5 meV/atom
Space group ... P1
Calculated total energy ... -5.49 eV/atom


DFT (PBE-GGA) results for crystalline Nd2S4N2O17 at its relaxed geometry.

a = 7.031 Å, b = 7.039 Å, c = 9.798 Å
α = 99.30°, β = 108.24°, γ = 106.34°
Atoms (fractional coordinates):
Nd 0.000 0.000 0.000
Nd 0.161 0.657 0.502
S 0.141 0.106 0.347
S 0.185 0.569 0.117
S 0.462 0.062 0.873
S 0.765 0.784 0.643
N 0.444 0.623 0.193
N 0.499 0.235 0.782
O 0.011 0.456 0.664
O 0.097 0.371 0.005
O 0.103 0.562 0.238
O 0.128 0.287 0.446
O 0.159 0.738 0.052
O 0.229 0.988 0.446
O 0.279 0.184 0.265
O 0.331 0.110 0.955
O 0.350 0.860 0.761
O 0.532 0.695 0.559
O 0.674 0.081 0.975
O 0.695 0.677 0.939
O 0.829 0.357 0.359
O 0.833 0.001 0.732
O 0.836 0.670 0.760
O 0.879 0.763 0.542
O 0.927 0.976 0.231

## Properties
Space group ... P1
Calculated total energy ... -6.01 eV/atom


DFT (PBE-GGA) results for crystalline CaMg6Fe at its relaxed geometry.

a = 5.062 Å, b = 6.500 Å, c = 11.156 Å
α = 90.00°, β = 90.00°, γ = 90.00°
Atoms (fractional coordinates):
Mg 0.000 0.254 0.081
Mg 0.000 0.754 0.581
Mg 0.500 0.729 0.913
Mg 0.500 0.000 0.660
Mg 0.500 0.271 0.913
Mg 0.500 0.500 0.160
Mg 0.000 0.246 0.581
Mg 0.500 0.500 0.675
Mg 0.500 0.000 0.175
Mg 0.000 0.746 0.081
Mg 0.500 0.771 0.413
Mg 0.500 0.229 0.413
Fe 0.000 0.000 0.343
Fe 0.000 0.500 0.843
Ca 0.000 0.500 0.334
Ca 0.000 0.000 0.834

## Properties
Distance to the lowest polymorph of the same formula ... 0.0 meV/atom
Calculated total energy ... -2.32 eV/atom


DFT (PBE-GGA) results for crystalline Ho3ReO8 at its relaxed geometry.

a = 7.252 Å, b = 6.028 Å, c = 14.471 Å
α = 90.00°, β = 111.45°, γ = 90.00°
Atoms (fractional coordinates):
Ho 0.094 0.244 0.202
Ho 0.094 0.256 0.702
Ho 0.159 0.202 0.444
Ho 0.159 0.298 0.944
Ho 0.390 0.694 0.332
Ho 0.390 0.806 0.832
Ho 0.610 0.194 0.168
Ho 0.610 0.306 0.668
Ho 0.841 0.702 0.056
Ho 0.841 0.798 0.556
Ho 0.906 0.744 0.298
Ho 0.906 0.756 0.798
Re 0.321 0.745 0.090
Re 0.321 0.755 0.590
Re 0.679 0.245 0.410
Re 0.679 0.255 0.910
O 0.083 0.694 0.979
O 0.083 0.806 0.479
O 0.148 0.026 0.842
O 0.148 0.474 0.342
O 0.165 0.650 0.171
O 0.165 0.850 0.671
O 0.187 0.526 0.827
O 0.187 0.974 0.327
O 0.246 0.045 0.096
O 0.246 0.455 0.596
O 0.375 0.057 0.589
O 0.375 0.443 0.089
O 0.466 0.205 0.786
O 0.466 0.295 0.286
O 0.478 0.700 0.519
O 0.478 0.800 0.019
O 0.522 0.200 0.981
O 0.522 0.300 0.481
O 0.534 0.705 0.714
O 0.534 0.795 0.214
O 0.625 0.557 0.911
O 0.625 0.943 0.411
O 0.754 0.545 0.404
O 0.754 0.955 0.904
O 0.813 0.026 0.673
O 0.813 0.474 0.173
O 0.835 0.150 0.329
O 0.835 0.350 0.829
O 0.852 0.526 0.658
O 0.852 0.974 0.158
O 0.917 0.194 0.521
O 0.917 0.306 0.021

## Properties
Distance to the lowest polymorph of the same formula ... 0.0 meV/atom
Space group ... P2_1/c
Calculated total energy ... -8.35 eV/atom


DFT (PBE-GGA) results for crystalline GdSi2Ni10 at its relaxed geometry.

a = 6.183 Å, b = 6.183 Å, c = 6.183 Å
α = 134.93°, β = 100.04°, γ = 96.86°
Atoms (fractional coordinates):
Gd 0.000 0.000 0.000
Si 0.247 0.747 0.500
Si 0.753 0.253 0.500
Ni 0.000 0.000 0.500
Ni 0.000 0.500 0.000
Ni 0.195 0.500 0.695
Ni 0.348 0.000 0.348
Ni 0.356 0.356 0.000
Ni 0.500 0.000 0.000
Ni 0.500 0.500 0.500
Ni 0.644 0.644 0.000
Ni 0.652 0.000 0.652
Ni 0.805 0.500 0.305

## Properties
Space group ... Immm
Calculated total energy ... -6.75 eV/atom


DFT (PBE-GGA) results for crystalline ThCd11 at its relaxed geometry.

a = 9.431 Å, b = 9.431 Å, c = 9.431 Å
α = 90.00°, β = 90.00°, γ = 90.00°
Atoms (fractional coordinates):
Th 0.000 0.000 0.500
Th 0.000 0.500 0.000
Th 0.500 0.000 0.000
Cd 0.000 0.344 0.344
Cd 0.000 0.344 0.656
Cd 0.000 0.656 0.344
Cd 0.000 0.656 0.656
Cd 0.155 0.155 0.155
Cd 0.155 0.155 0.845
Cd 0.155 0.845 0.155
Cd 0.155 0.845 0.845
Cd 0.266 0.266 0.500
Cd 0.266 0.500 0.266
Cd 0.266 0.500 0.734
Cd 0.266 0.734 0.500
Cd 0.344 0.000 0.344
Cd 0.344 0.000 0.656
Cd 0.344 0.344 0.000
Cd 0.344 0.656 0.000
Cd 0.500 0.266 0.266
Cd 0.500 0.266 0.734
Cd 0.500 0.500 0.500
Cd 0.500 0.734 0.266
Cd 0.500 0.734 0.734
Cd 0.656 0.000 0.344
Cd 0.656 0.000 0.656
Cd 0.656 0.344 0.000
Cd 0.656 0.656 0.000
Cd 0.734 0.266 0.500
Cd 0.734 0.500 0.266
Cd 0.734 0.500 0.734
Cd 0.734 0.734 0.500
Cd 0.845 0.155 0.155
Cd 0.845 0.155 0.845
Cd 0.845 0.845 0.155
Cd 0.845 0.845 0.845

## Properties
Space group ... Pm-3m
Calculated total energy ... -1.54 eV/atom


DFT (PBE-GGA) results for crystalline Ti4AlCu3O12 at its relaxed geometry.

a = 6.435 Å, b = 6.435 Å, c = 6.435 Å
α = 109.47°, β = 109.47°, γ = 109.47°
Atoms (fractional coordinates):
Ti 0.000 0.000 0.500
Ti 0.000 0.500 0.000
Ti 0.500 0.000 0.000
Ti 0.500 0.500 0.500
Al 0.000 0.000 0.000
Cu 0.000 0.500 0.500
Cu 0.500 0.000 0.500
Cu 0.500 0.500 0.000
O 0.121 0.295 0.827
O 0.173 0.468 0.295
O 0.173 0.879 0.705
O 0.295 0.173 0.468
O 0.295 0.827 0.121
O 0.468 0.295 0.173
O 0.532 0.705 0.827
O 0.705 0.173 0.879
O 0.705 0.827 0.532
O 0.827 0.121 0.295
O 0.827 0.532 0.705
O 0.879 0.705 0.173

## Properties
Space group ... Im-3
Calculated total energy ... -7.41 eV/atom


DFT (PBE-GGA) results for crystalline MgCl2 at its relaxed geometry.

a = 6.321 Å, b = 3.669 Å, c = 6.510 Å
α = 90.00°, β = 90.00°, γ = 90.00°
Atoms (fractional coordinates):
Mg 0.000 0.000 0.000
Mg 0.500 0.000 0.000
Cl 0.250 0.000 0.273
Cl 0.250 0.500 0.828
Cl 0.750 0.000 0.727
Cl 0.750 0.500 0.172

## Properties
Space group ... Pmma
Calculated total energy ... -3.48 eV/atom